No. 1
Here is crystalline K15Cr7N19 at its relaxed geometry from the Materials Project. Energies are from PBE. Values from VASP.

Values from the calculation:
**E_tot**: -6.273 eV/atom
**Energy of formation from the pure elements**: -0.522 eV/atom
**Symmetry**: P-1 (2)
**Volume**: 1484.31 Å³/cell

The structure in Quantum ESPRESSO input format:
```
&SYSTEM
  ibrav = 0, nat = 82, ntyp = 3
/
ATOMIC_SPECIES
K 39.10 K.upf
Cr 52.00 Cr.upf
N 14.01 N.upf
CELL_PARAMETERS angstrom
6.733 0.000 0.000
1.908 11.895 0.000
1.444 -0.181 18.533
ATOMIC_POSITIONS crystal
K 0.000 0.000 0.000
K 0.014 0.841 0.513
K 0.045 0.165 0.283
K 0.047 0.545 0.888
K 0.133 0.681 0.330
K 0.134 0.394 0.397
K 0.233 0.771 0.890
K 0.255 0.242 0.774
K 0.286 0.580 0.502
K 0.292 0.522 0.695
K 0.361 0.627 0.156
K 0.385 0.892 0.345
K 0.401 0.387 0.030
K 0.448 0.932 0.775
K 0.483 0.121 0.933
K 0.500 0.000 0.500
K 0.517 0.879 0.067
K 0.552 0.068 0.225
K 0.599 0.613 0.970
K 0.615 0.108 0.655
K 0.639 0.373 0.844
K 0.708 0.478 0.305
K 0.714 0.420 0.498
K 0.745 0.758 0.226
K 0.767 0.229 0.110
K 0.866 0.606 0.603
K 0.867 0.319 0.670
K 0.953 0.455 0.112
K 0.955 0.835 0.717
K 0.986 0.159 0.487
Cr 0.031 0.278 0.945
Cr 0.111 0.913 0.183
Cr 0.150 0.046 0.643
Cr 0.255 0.159 0.103
Cr 0.318 0.289 0.559
Cr 0.348 0.363 0.227
Cr 0.431 0.776 0.620
Cr 0.569 0.224 0.380
Cr 0.652 0.637 0.773
Cr 0.682 0.711 0.441
Cr 0.745 0.841 0.897
Cr 0.850 0.954 0.357
Cr 0.889 0.087 0.817
Cr 0.969 0.722 0.055
N 0.023 0.828 0.120
N 0.038 0.983 0.401
N 0.071 0.069 0.736
N 0.110 0.387 0.556
N 0.125 0.209 0.027
N 0.131 0.047 0.146
N 0.165 0.472 0.252
N 0.174 0.625 0.032
N 0.221 0.335 0.906
N 0.232 0.712 0.617
N 0.241 0.268 0.166
N 0.243 0.163 0.605
N 0.333 0.852 0.208
N 0.354 0.924 0.635
N 0.418 0.250 0.466
N 0.426 0.281 0.307
N 0.457 0.591 0.818
N 0.493 0.107 0.078
N 0.495 0.335 0.606
N 0.505 0.665 0.394
N 0.507 0.893 0.922
N 0.543 0.409 0.182
N 0.574 0.719 0.693
N 0.582 0.750 0.534
N 0.646 0.076 0.365
N 0.667 0.148 0.792
N 0.757 0.837 0.395
N 0.759 0.732 0.834
N 0.768 0.288 0.383
N 0.779 0.665 0.094
N 0.826 0.375 0.968
N 0.835 0.528 0.748
N 0.869 0.953 0.854
N 0.875 0.791 0.973
N 0.890 0.613 0.444
N 0.929 0.931 0.264
N 0.962 0.017 0.599
N 0.977 0.172 0.880
```

No. 2
Here is crystalline OsC4O4 at its relaxed geometry from the Materials Project. Energies are from PBE. Values from VASP.

Values from the calculation:
**E_tot**: -8.208 eV/atom
**Energy of formation from the pure elements**: -0.966 eV/atom
**Symmetry**: P2_1/c (14)
**Volume**: 1796.03 Å³/cell
**Offset from the most stable computed form**: 0 kJ/mol of formula units

The structure in Quantum ESPRESSO input format:
```
&SYSTEM
  ibrav = 0, nat = 108, ntyp = 3
/
ATOMIC_SPECIES
Os 190.23 Os.upf
C 12.01 C.upf
O 16.00 O.upf
CELL_PARAMETERS angstrom
8.173 0.000 0.000
0.000 15.141 0.000
-5.375 0.000 14.515
ATOMIC_POSITIONS crystal
Os 0.143 0.081 0.340
Os 0.143 0.419 0.840
Os 0.267 0.168 0.203
Os 0.267 0.332 0.703
Os 0.278 0.527 0.722
Os 0.278 0.973 0.222
Os 0.722 0.027 0.778
Os 0.722 0.473 0.278
Os 0.733 0.668 0.297
Os 0.733 0.832 0.797
Os 0.857 0.581 0.160
Os 0.857 0.919 0.660
C 0.031 0.159 0.112
C 0.031 0.341 0.612
C 0.044 0.532 0.628
C 0.044 0.968 0.128
C 0.070 0.182 0.391
C 0.070 0.318 0.891
C 0.091 0.570 0.254
C 0.091 0.930 0.754
C 0.098 0.518 0.906
C 0.098 0.982 0.406
C 0.220 0.215 0.732
C 0.220 0.285 0.232
C 0.254 0.643 0.765
C 0.254 0.857 0.265
C 0.364 0.183 0.108
C 0.364 0.317 0.608
C 0.378 0.094 0.431
C 0.378 0.406 0.931
C 0.378 0.552 0.630
C 0.378 0.948 0.130
C 0.489 0.014 0.686
C 0.489 0.486 0.186
C 0.497 0.177 0.299
C 0.497 0.323 0.799
C 0.503 0.677 0.201
C 0.503 0.823 0.701
C 0.511 0.514 0.814
C 0.511 0.986 0.314
C 0.622 0.052 0.870
C 0.622 0.448 0.370
C 0.622 0.594 0.069
C 0.622 0.906 0.569
C 0.636 0.683 0.392
C 0.636 0.817 0.892
C 0.746 0.143 0.735
C 0.746 0.357 0.235
C 0.780 0.715 0.768
C 0.780 0.785 0.268
C 0.902 0.018 0.594
C 0.902 0.482 0.094
C 0.909 0.070 0.246
C 0.909 0.430 0.746
C 0.930 0.682 0.109
C 0.930 0.818 0.609
C 0.956 0.032 0.872
C 0.956 0.468 0.372
C 0.969 0.659 0.388
C 0.969 0.841 0.888
O 0.028 0.243 0.424
O 0.028 0.257 0.924
O 0.074 0.580 0.944
O 0.074 0.920 0.444
O 0.091 0.041 0.930
O 0.091 0.459 0.430
O 0.108 0.658 0.443
O 0.108 0.842 0.943
O 0.190 0.144 0.752
O 0.190 0.356 0.252
O 0.233 0.565 0.304
O 0.233 0.935 0.804
O 0.235 0.714 0.787
O 0.235 0.786 0.287
O 0.347 0.013 0.635
O 0.347 0.487 0.135
O 0.368 0.690 0.145
O 0.368 0.810 0.645
O 0.422 0.195 0.050
O 0.422 0.305 0.550
O 0.445 0.565 0.577
O 0.445 0.935 0.077
O 0.488 0.602 0.011
O 0.488 0.898 0.511
O 0.512 0.102 0.489
O 0.512 0.398 0.989
O 0.555 0.065 0.923
O 0.555 0.435 0.423
O 0.578 0.695 0.450
O 0.578 0.805 0.950
O 0.632 0.190 0.355
O 0.632 0.310 0.855
O 0.653 0.513 0.865
O 0.653 0.987 0.365
O 0.765 0.214 0.713
O 0.765 0.286 0.213
O 0.767 0.065 0.196
O 0.767 0.435 0.696
O 0.810 0.644 0.748
O 0.810 0.856 0.248
O 0.892 0.158 0.057
O 0.892 0.342 0.557
O 0.909 0.541 0.570
O 0.909 0.959 0.070
O 0.926 0.080 0.556
O 0.926 0.420 0.056
O 0.972 0.743 0.076
O 0.972 0.757 0.576
```

No. 3
Here is crystalline In at its relaxed geometry from the Materials Project. Energies are from PBE. Values from VASP.

Values from the calculation:
**E_tot**: -2.698 eV/atom
**Energy of formation from the pure elements**: 0.053 eV/atom
**Symmetry**: I-43m (217)
**Volume**: 806.15 Å³/cell
**Offset from the most stable computed form**: 5 kJ/mol of formula units

The structure in Quantum ESPRESSO input format:
```
&SYSTEM
  ibrav = 0, nat = 29, ntyp = 1
/
ATOMIC_SPECIES
In 114.82 In.upf
CELL_PARAMETERS angstrom
-5.863 5.863 5.863
5.863 -5.863 5.863
5.863 5.863 -5.863
ATOMIC_POSITIONS crystal
In 0.000 0.000 0.000
In 0.000 0.000 0.647
In 0.000 0.192 0.377
In 0.000 0.377 0.192
In 0.000 0.406 0.686
In 0.000 0.647 0.000
In 0.000 0.686 0.406
In 0.185 0.808 0.808
In 0.192 0.000 0.377
In 0.192 0.377 0.000
In 0.281 0.594 0.594
In 0.314 0.314 0.719
In 0.314 0.719 0.314
In 0.353 0.353 0.353
In 0.377 0.000 0.192
In 0.377 0.192 0.000
In 0.406 0.000 0.686
In 0.406 0.686 0.000
In 0.594 0.281 0.594
In 0.594 0.594 0.281
In 0.623 0.623 0.815
In 0.623 0.815 0.623
In 0.647 0.000 0.000
In 0.686 0.000 0.406
In 0.686 0.406 0.000
In 0.719 0.314 0.314
In 0.808 0.185 0.808
In 0.808 0.808 0.185
In 0.815 0.623 0.623
```

Repeat the first record exactly.
Here is crystalline K15Cr7N19 at its relaxed geometry from the Materials Project. Energies are from PBE. Values from VASP.

Values from the calculation:
**E_tot**: -6.273 eV/atom
**Energy of formation from the pure elements**: -0.522 eV/atom
**Symmetry**: P-1 (2)
**Volume**: 1484.31 Å³/cell

The structure in Quantum ESPRESSO input format:
```
&SYSTEM
  ibrav = 0, nat = 82, ntyp = 3
/
ATOMIC_SPECIES
K 39.10 K.upf
Cr 52.00 Cr.upf
N 14.01 N.upf
CELL_PARAMETERS angstrom
6.733 0.000 0.000
1.908 11.895 0.000
1.444 -0.181 18.533
ATOMIC_POSITIONS crystal
K 0.000 0.000 0.000
K 0.014 0.841 0.513
K 0.045 0.165 0.283
K 0.047 0.545 0.888
K 0.133 0.681 0.330
K 0.134 0.394 0.397
K 0.233 0.771 0.890
K 0.255 0.242 0.774
K 0.286 0.580 0.502
K 0.292 0.522 0.695
K 0.361 0.627 0.156
K 0.385 0.892 0.345
K 0.401 0.387 0.030
K 0.448 0.932 0.775
K 0.483 0.121 0.933
K 0.500 0.000 0.500
K 0.517 0.879 0.067
K 0.552 0.068 0.225
K 0.599 0.613 0.970
K 0.615 0.108 0.655
K 0.639 0.373 0.844
K 0.708 0.478 0.305
K 0.714 0.420 0.498
K 0.745 0.758 0.226
K 0.767 0.229 0.110
K 0.866 0.606 0.603
K 0.867 0.319 0.670
K 0.953 0.455 0.112
K 0.955 0.835 0.717
K 0.986 0.159 0.487
Cr 0.031 0.278 0.945
Cr 0.111 0.913 0.183
Cr 0.150 0.046 0.643
Cr 0.255 0.159 0.103
Cr 0.318 0.289 0.559
Cr 0.348 0.363 0.227
Cr 0.431 0.776 0.620
Cr 0.569 0.224 0.380
Cr 0.652 0.637 0.773
Cr 0.682 0.711 0.441
Cr 0.745 0.841 0.897
Cr 0.850 0.954 0.357
Cr 0.889 0.087 0.817
Cr 0.969 0.722 0.055
N 0.023 0.828 0.120
N 0.038 0.983 0.401
N 0.071 0.069 0.736
N 0.110 0.387 0.556
N 0.125 0.209 0.027
N 0.131 0.047 0.146
N 0.165 0.472 0.252
N 0.174 0.625 0.032
N 0.221 0.335 0.906
N 0.232 0.712 0.617
N 0.241 0.268 0.166
N 0.243 0.163 0.605
N 0.333 0.852 0.208
N 0.354 0.924 0.635
N 0.418 0.250 0.466
N 0.426 0.281 0.307
N 0.457 0.591 0.818
N 0.493 0.107 0.078
N 0.495 0.335 0.606
N 0.505 0.665 0.394
N 0.507 0.893 0.922
N 0.543 0.409 0.182
N 0.574 0.719 0.693
N 0.582 0.750 0.534
N 0.646 0.076 0.365
N 0.667 0.148 0.792
N 0.757 0.837 0.395
N 0.759 0.732 0.834
N 0.768 0.288 0.383
N 0.779 0.665 0.094
N 0.826 0.375 0.968
N 0.835 0.528 0.748
N 0.869 0.953 0.854
N 0.875 0.791 0.973
N 0.890 0.613 0.444
N 0.929 0.931 0.264
N 0.962 0.017 0.599
N 0.977 0.172 0.880
```

Q: What is the formula in the second record?
A: OsC4O4

Q: Among the records above, which one has the highest energy of formation from the pure elements?
A: In